Entry from Materials Project: a relaxed YbBPd3 crystal (r²SCAN).

Cell and atoms, written as POSCAR:
```
YbBPd3
1.0
-0.719 4.191 0.209
-4.148 -0.742 0.610
0.637 -0.101 4.208
B Pd Yb
1 3 1
Cartesian
-2.115 1.674 2.514 B
-2.433 1.725 0.410 Pd
-0.041 2.045 2.209 Pd
-1.755 -0.421 2.409 Pd
0.000 0.000 0.000 Yb
```

The calculation puts the total energy at -23.2090 eV per atom. The value obtained for the total magnetization is 0.00 μB per formula unit. The space-group type is Pm-3m. The value obtained for the density is 10.8 g/cm³.

***

Entry from Materials Project: a relaxed PmB3 crystal (r²SCAN).

Cell and atoms, written as POSCAR:
```
PmB3
1.0
5.578 0.000 0.000
-2.789 4.830 0.000
0.000 0.000 3.462
B Pm
6 2
Cartesian
4.685 0.516 2.596 B
1.896 4.315 0.865 B
2.789 3.799 2.596 B
-1.896 4.315 0.865 B
0.893 0.516 2.596 B
0.000 1.031 0.865 B
2.789 1.610 0.865 Pm
0.000 3.220 2.596 Pm
```

The calculation puts the total energy at -13.0272 eV per atom. The value obtained for the total magnetization is 0.00 μB per formula unit. The space-group type is P6_3/mmc. The value obtained for the density is 6.3 g/cm³.

***

Entry from Materials Project: a relaxed PrB6 crystal (r²SCAN).

Cell and atoms, written as POSCAR:
```
PrB6
1.0
4.141 0.000 0.000
0.000 4.141 0.000
0.000 0.000 4.141
B Pr
6 1
Cartesian
3.312 2.070 2.070 B
2.070 0.829 2.070 B
2.070 2.070 3.312 B
0.829 2.070 2.070 B
2.070 3.312 2.070 B
2.070 2.070 0.829 B
0.000 0.000 0.000 Pr
```

The calculation puts the total energy at -11.0450 eV per atom. The value obtained for the total magnetization is 0.00 μB per formula unit. The space-group type is Pm-3m. The value obtained for the density is 4.8 g/cm³.